! PBE NaAsF6, relaxed; values from VASP
&SYSTEM
  ibrav = 0, nat = 8, ntyp = 3
/
ATOMIC_SPECIES
Na 22.99 Na.upf
As 74.92 As.upf
F 19.00 F.upf
CELL_PARAMETERS angstrom
2.709 1.564 4.712
-2.709 1.564 4.712
0.000 -3.128 4.712
ATOMIC_POSITIONS crystal
Na 0.000 0.000 0.000
As 0.500 0.500 0.500
F 0.178 0.395 0.709
F 0.291 0.822 0.605
F 0.395 0.709 0.178
F 0.605 0.291 0.822
F 0.709 0.178 0.395
F 0.822 0.605 0.291
! Space-group type   R-3

***

! PBE Na3AsF6, relaxed; values from VASP
&SYSTEM
  ibrav = 0, nat = 10, ntyp = 3
/
ATOMIC_SPECIES
Na 22.99 Na.upf
As 74.92 As.upf
F 19.00 F.upf
CELL_PARAMETERS angstrom
0.000 4.252 4.252
4.252 0.000 4.252
4.252 4.252 0.000
ATOMIC_POSITIONS crystal
Na 0.000 0.000 0.000
Na 0.250 0.250 0.250
Na 0.750 0.750 0.750
As 0.500 0.500 0.500
F 0.259 0.259 0.741
F 0.259 0.741 0.259
F 0.259 0.741 0.741
F 0.741 0.259 0.259
F 0.741 0.259 0.741
F 0.741 0.741 0.259
! Space-group type   Fm-3m

***

! PBE Rb2NaAsF6, relaxed; values from VASP
&SYSTEM
  ibrav = 0, nat = 10, ntyp = 4
/
ATOMIC_SPECIES
Rb 85.47 Rb.upf
Na 22.99 Na.upf
As 74.92 As.upf
F 19.00 F.upf
CELL_PARAMETERS angstrom
0.000 4.407 4.407
4.407 0.000 4.407
4.407 4.407 0.000
ATOMIC_POSITIONS crystal
Rb 0.250 0.250 0.250
Rb 0.750 0.750 0.750
Na 0.000 0.000 0.000
As 0.500 0.500 0.500
F 0.264 0.264 0.736
F 0.264 0.736 0.264
F 0.264 0.736 0.736
F 0.736 0.264 0.264
F 0.736 0.264 0.736
F 0.736 0.736 0.264
! Space-group type   Fm-3m

***

! PBE RbNa2AsF6, relaxed; values from VASP
&SYSTEM
  ibrav = 0, nat = 10, ntyp = 4
/
ATOMIC_SPECIES
Rb 85.47 Rb.upf
Na 22.99 Na.upf
As 74.92 As.upf
F 19.00 F.upf
CELL_PARAMETERS angstrom
0.000 4.657 4.657
4.657 0.000 4.657
4.657 4.657 0.000
ATOMIC_POSITIONS crystal
Rb 0.000 0.000 0.000
Na 0.250 0.250 0.250
Na 0.750 0.750 0.750
As 0.500 0.500 0.500
F 0.279 0.279 0.721
F 0.279 0.721 0.279
F 0.279 0.721 0.721
F 0.721 0.279 0.279
F 0.721 0.279 0.721
F 0.721 0.721 0.279
! Space-group type   Fm-3m

***

! PBE Na2TlAsF6, relaxed; values from VASP
&SYSTEM
  ibrav = 0, nat = 10, ntyp = 4
/
ATOMIC_SPECIES
Na 22.99 Na.upf
Tl 204.38 Tl.upf
As 74.92 As.upf
F 19.00 F.upf
CELL_PARAMETERS angstrom
0.000 4.644 4.644
4.644 0.000 4.644
4.644 4.644 0.000
ATOMIC_POSITIONS crystal
Na 0.250 0.250 0.250
Na 0.750 0.750 0.750
Tl 0.000 0.000 0.000
As 0.500 0.500 0.500
F 0.279 0.279 0.721
F 0.279 0.721 0.279
F 0.279 0.721 0.721
F 0.721 0.279 0.279
F 0.721 0.279 0.721
F 0.721 0.721 0.279
! Space-group type   Fm-3m

***

! PBE Nd2As6Xe5F46, relaxed; values from VASP
&SYSTEM
  ibrav = 0, nat = 59, ntyp = 4
/
ATOMIC_SPECIES
Nd 144.24 Nd.upf
As 74.92 As.upf
Xe 131.29 Xe.upf
F 19.00 F.upf
CELL_PARAMETERS angstrom
17.772 -2.992 0.000
17.772 2.992 0.000
-2.446 0.000 10.076
ATOMIC_POSITIONS crystal
Nd 0.116 0.116 0.294
Nd 0.884 0.884 0.706
As 0.323 0.323 0.456
As 0.369 0.369 0.977
As 0.467 0.467 0.681
As 0.533 0.533 0.319
As 0.631 0.631 0.023
As 0.677 0.677 0.544
Xe 0.000 0.000 0.000
Xe 0.089 0.089 0.691
Xe 0.223 0.223 0.134
Xe 0.777 0.777 0.866
Xe 0.911 0.911 0.309
F 0.055 0.055 0.122
F 0.070 0.070 0.859
F 0.092 0.520 0.342
F 0.111 0.111 0.515
F 0.133 0.552 0.585
F 0.139 0.567 0.067
F 0.176 0.595 0.874
F 0.177 0.177 0.235
F 0.219 0.637 0.669
F 0.266 0.266 0.037
F 0.280 0.280 0.513
F 0.284 0.715 0.307
F 0.285 0.716 0.693
F 0.324 0.324 0.859
F 0.363 0.781 0.331
F 0.368 0.368 0.416
F 0.405 0.824 0.126
F 0.415 0.415 0.082
F 0.433 0.861 0.933
F 0.448 0.867 0.415
F 0.457 0.457 0.508
F 0.472 0.472 0.853
F 0.480 0.908 0.658
F 0.520 0.092 0.342
F 0.528 0.528 0.147
F 0.543 0.543 0.492
F 0.552 0.133 0.585
F 0.567 0.139 0.067
F 0.585 0.585 0.918
F 0.595 0.176 0.874
F 0.632 0.632 0.584
F 0.637 0.219 0.669
F 0.676 0.676 0.141
F 0.715 0.284 0.307
F 0.716 0.285 0.693
F 0.720 0.720 0.487
F 0.734 0.734 0.963
F 0.781 0.363 0.331
F 0.823 0.823 0.765
F 0.824 0.405 0.126
F 0.861 0.433 0.933
F 0.867 0.448 0.415
F 0.889 0.889 0.485
F 0.908 0.480 0.658
F 0.930 0.930 0.141
F 0.945 0.945 0.878
! Space-group type   C2/m

***

| no. | total energy after the MP2020 corrections (eV per atom) | ΔH_f (0 K) (kJ/mol of formula units) |
| --- | --- | --- |
| 1 | -4.880 | -2081 |
| 2 | -4.650 | -2546 |
| 3 | -4.744 | -2702 |
| 4 | -4.499 | -2433 |
| 5 | -4.452 | -2254 |
| 6 | -4.438 | -13130 |